# SrNdEuSbO6

A relaxed SrNdEuSbO6 crystal (PBE, the Materials Project).

a = 8.5102 Å, b = 8.5036 Å, c = 8.5093 Å
α = 90.00°, β = 90.00°, γ = 90.00°
With the nearest neighbours (Å) after each atom.
Element x y z (fractional)
1 O 0.2847 0.9809 0.7927  1 Sb 2.02
2 O 0.2927 0.7844 0.5191  1 Sb 2.02
3 O 0.7153 0.0191 0.7927  1 Sb 2.02
4 O 0.0194 0.7945 0.7143  1 Sb 2.02
5 O 0.7153 0.9809 0.2073  1 Sb 2.02
6 O 0.7847 0.5191 0.2927  1 Sb 2.02
7 O 0.0194 0.2055 0.2857  1 Sb 2.02
8 O 0.5194 0.7055 0.2143  1 Sb 2.02
9 O 0.7847 0.4809 0.7073  1 Sb 2.02
10 O 0.2153 0.4809 0.2927  1 Sb 2.02
11 O 0.2073 0.2844 0.0191  1 Sb 2.02
12 O 0.2073 0.7156 0.9809  1 Sb 2.02
13 O 0.2153 0.5191 0.7073  1 Sb 2.02
14 O 0.7927 0.7156 0.0191  1 Sb 2.02
15 O 0.2847 0.0191 0.2073  1 Sb 2.02
16 O 0.5194 0.2945 0.7857  1 Sb 2.02
17 O 0.7927 0.2844 0.9809  1 Sb 2.02
18 O 0.9806 0.7945 0.2857  1 Sb 2.02
19 O 0.7073 0.7844 0.4809  1 Sb 2.02
20 O 0.4806 0.7055 0.7857  1 Sb 2.02
21 O 0.4806 0.2945 0.2143  1 Sb 2.02
22 O 0.9806 0.2055 0.7143  1 Sb 2.02
23 O 0.2927 0.2156 0.4809  1 Sb 2.02
24 O 0.7073 0.2156 0.5191  1 Sb 2.02
25 Nd 0.2500 0.2500 0.7500  6 O 2.34
26 Nd 0.7500 0.2500 0.2500  6 O 2.34
27 Nd 0.2500 0.7500 0.2500  6 O 2.34
28 Nd 0.7500 0.7500 0.7500  6 O 2.34
29 Eu 0.0000 0.0000 0.0000  12 O 3.00
30 Eu 0.5000 0.5000 0.5000  12 O 3.00
31 Eu 0.0000 0.0000 0.5000  4 O 2.53
32 Eu 0.5000 0.5000 0.0000  4 O 2.53
33 Sr 0.5000 0.0000 0.5000  4 O 2.55
34 Sr 0.5000 0.0000 0.0000  4 O 2.55
35 Sr 0.0000 0.5000 0.0000  4 O 2.55
36 Sr 0.0000 0.5000 0.5000  4 O 2.55
37 Sb 0.2500 0.2500 0.2500  6 O 2.02
38 Sb 0.2500 0.7500 0.7500  6 O 2.02
39 Sb 0.7500 0.7500 0.2500  6 O 2.02
40 Sb 0.7500 0.2500 0.7500  6 O 2.02

## Properties
The formation energy from the elements is -2.973 eV/atom. The total energy comes out at -7.6137 eV/atom. The crystal system is orthorhombic. Its distance to the lowest polymorph of the same formula is 42 meV/atom.

---

# Pu2Si5Pt3

A relaxed Pu2Si5Pt3 crystal (PBE, the Materials Project).

a = 8.1508 Å, b = 8.1508 Å, c = 8.1508 Å
α = 136.44°, β = 104.45°, γ = 91.48°
With the nearest neighbours (Å) after each atom.
Element x y z (fractional)
1 Si 0.4586 0.1116 0.3470  3 Pt 2.38-2.50, 2 Si 2.51
2 Si 0.0000 0.2500 0.2500  4 Pt 2.45
3 Si 0.0000 0.7500 0.7500  4 Pt 2.45
4 Si 0.5414 0.8884 0.6530  3 Pt 2.38-2.50, 2 Si 2.51
5 Si 0.2354 0.3884 0.8470  3 Pt 2.38-2.50, 2 Si 2.51
6 Si 0.7261 0.4761 0.7500  3 Pt 2.43-2.57, 2 Si 2.51
7 Si 0.2739 0.5239 0.2500  3 Pt 2.43-2.57, 2 Si 2.51
8 Si 0.7261 0.9761 0.2500  3 Pt 2.43-2.57, 2 Si 2.51
9 Si 0.7645 0.6116 0.1530  3 Pt 2.38-2.50, 2 Si 2.51
10 Si 0.2739 0.0239 0.7500  3 Pt 2.43-2.57, 2 Si 2.51
11 Pt 0.0274 0.6384 0.3890  5 Si 2.38-2.45
12 Pt 0.2493 0.1384 0.1110  5 Si 2.38-2.45
13 Pt 0.9726 0.3616 0.6110  5 Si 2.38-2.45
14 Pt 0.5000 0.2500 0.7500  6 Si 2.50-2.57
15 Pt 0.7507 0.8616 0.8890  5 Si 2.38-2.45
16 Pt 0.5000 0.7500 0.2500  6 Si 2.50-2.57
17 Pu 0.3595 0.6305 0.7289  10 Si 3.00-3.29, 4 Pt 3.08-3.28
18 Pu 0.6405 0.3695 0.2711  10 Si 3.00-3.29, 4 Pt 3.08-3.28
19 Pu 0.9016 0.1305 0.7711  10 Si 3.00-3.29, 4 Pt 3.08-3.28
20 Pu 0.0984 0.8695 0.2289  10 Si 3.00-3.29, 4 Pt 3.08-3.28

## Properties
The formation energy from the elements is -0.428 eV/atom. The total energy comes out at -7.8153 eV/atom. The crystal system is orthorhombic.

---

# NaYMg14O16

A relaxed NaYMg14O16 crystal (PBE, the Materials Project).

a = 8.6697 Å, b = 8.6697 Å, c = 4.3559 Å
α = 90.00°, β = 90.00°, γ = 90.00°
With the nearest neighbours (Å) after each atom.
Element x y z (fractional)
1 O 0.7525 0.7525 0.5000  6 Mg 2.15-2.19
2 O 0.7639 0.5000 0.0000  5 Mg 2.05-2.18, 1 Na 2.29
3 O 0.7525 0.2475 0.5000  6 Mg 2.15-2.19
4 O 0.2475 0.7525 0.5000  6 Mg 2.15-2.19
5 O 0.5000 0.5000 0.5000  4 Mg 2.12, 2 Na 2.18
6 O 0.5000 0.0000 0.5000  6 Mg 2.04-2.21
7 O 0.0000 0.2574 0.0000  5 Mg 2.10-2.25, 1 Y 2.23
8 O 0.0000 0.7426 0.0000  5 Mg 2.10-2.25, 1 Y 2.23
9 O 0.0000 0.5000 0.5000  6 Mg 2.04-2.21
10 O 0.0000 0.0000 0.5000  2 Y 2.18, 4 Mg 2.29
11 O 0.7426 0.0000 0.0000  5 Mg 2.10-2.25, 1 Y 2.23
12 O 0.2361 0.5000 0.0000  5 Mg 2.05-2.18, 1 Na 2.29
13 O 0.2574 0.0000 0.0000  5 Mg 2.10-2.25, 1 Y 2.23
14 O 0.2475 0.2475 0.5000  6 Mg 2.15-2.19
15 O 0.5000 0.7639 0.0000  5 Mg 2.05-2.18, 1 Na 2.29
16 O 0.5000 0.2361 0.0000  5 Mg 2.05-2.18, 1 Na 2.29
17 Mg 0.7403 0.7403 0.0000  6 O 2.09-2.25
18 Mg 0.2555 0.5000 0.5000  6 O 2.12-2.21
19 Mg 0.5000 0.7445 0.5000  6 O 2.12-2.21
20 Mg 0.7445 0.5000 0.5000  6 O 2.12-2.21
21 Mg 0.7403 0.2597 0.0000  6 O 2.09-2.25
22 Mg 0.2597 0.2597 0.0000  6 O 2.09-2.25
23 Mg 0.0000 0.2643 0.5000  5 O 2.04-2.18
24 Mg 0.0000 0.7357 0.5000  5 O 2.04-2.18
25 Mg 0.2597 0.7403 0.0000  6 O 2.09-2.25
26 Mg 0.2643 0.0000 0.5000  5 O 2.04-2.18
27 Mg 0.7357 0.0000 0.5000  5 O 2.04-2.18
28 Mg 0.0000 0.5000 0.0000  6 O 2.05-2.18
29 Mg 0.5000 0.0000 0.0000  6 O 2.05-2.18
30 Mg 0.5000 0.2555 0.5000  6 O 2.12-2.21
31 Na 0.5000 0.5000 0.0000  6 O 2.18-2.29
32 Y 0.0000 0.0000 0.0000  6 O 2.18-2.23

## Properties
The formation energy from the elements is -2.996 eV/atom. The total energy comes out at -6.0698 eV/atom. The crystal system is tetragonal. Its distance to the lowest polymorph of the same formula is 0 meV/atom.

---

# CaPmHg2

A relaxed CaPmHg2 crystal (PBE, the Materials Project).

a = 5.3707 Å, b = 5.3707 Å, c = 5.3707 Å
α = 60.00°, β = 60.00°, γ = 60.00°
With the nearest neighbours (Å) after each atom.
Element x y z (fractional)
1 Hg 0.7500 0.7500 0.7500  4 Ca 3.29, 4 Pm 3.29
2 Hg 0.2500 0.2500 0.2500  4 Ca 3.29, 4 Pm 3.29
3 Ca 0.5000 0.5000 0.5000  8 Hg 3.29
4 Pm 0.0000 0.0000 0.0000  8 Hg 3.29

## Properties
The formation energy from the elements is -0.546 eV/atom. The total energy comes out at -2.3873 eV/atom. The crystal system is cubic.

---

Q: What is the total energy in the second record?
A: -7.8153 eV/atom

---

What did the fourth record say?
# CaPmHg2

A relaxed CaPmHg2 crystal (PBE, the Materials Project).

a = 5.3707 Å, b = 5.3707 Å, c = 5.3707 Å
α = 60.00°, β = 60.00°, γ = 60.00°
With the nearest neighbours (Å) after each atom.
Element x y z (fractional)
1 Hg 0.7500 0.7500 0.7500  4 Ca 3.29, 4 Pm 3.29
2 Hg 0.2500 0.2500 0.2500  4 Ca 3.29, 4 Pm 3.29
3 Ca 0.5000 0.5000 0.5000  8 Hg 3.29
4 Pm 0.0000 0.0000 0.0000  8 Hg 3.29

## Properties
The formation energy from the elements is -0.546 eV/atom. The total energy comes out at -2.3873 eV/atom. The crystal system is cubic.